Material: BaCa2I6
Method: DFT, PBE
State: relaxed

Values from the calculation:
Magnetization in Bohr magnetons per cell: 0.0
Final energy in eV/atom: -3.314
Energy above the most stable polymorph in this dataset in eV per atom: 0.0252

The structure in CIF format:
```
data_BaCa2I6
_symmetry_space_group_name_H-M 'P 1 21/c 1'
_symmetry_Int_Tables_number 14
_cell_length_a 8.658
_cell_length_b 7.769
_cell_length_c 23.973
_cell_angle_alpha 90.00
_cell_angle_beta 93.31
_cell_angle_gamma 90.00
loop_
_symmetry_equiv_pos_as_xyz
'x,y,z'
'-x,-y,-z'
'-x,y+1/2,-z+1/2'
'x,-y+1/2,z+1/2'
loop_
_atom_site_label
_atom_site_fract_x
_atom_site_fract_y
_atom_site_fract_z
Ba1 0.145 0.031 0.404
Ca1 0.253 0.012 0.747
Ca2 0.375 0.532 0.589
I1 0.037 0.709 0.700
I2 0.134 0.736 0.023
I3 0.177 0.225 0.641
I4 0.344 0.682 0.356
I5 0.385 0.216 0.985
I6 0.476 0.208 0.312
```